No. 1
{
  "formula": "Na2Si4O9",
  "functional": "PBE",
  "state": "optimized geometry",
  "volume_a3_per_cell": 2015.1,
  "rho_g_cm3": 3.0,
  "lattice_angstrom": [[10.9948, 0.0000, 0.0000], [0.0000, 9.4372, 0.0000], [-10.9144, 0.0000, 19.4203]],
  "species": ["Na", "Na", "Na", "Na", "Na", "Na", "Na", "Na", "Na", "Na", "Na", "Na", "Na", "Na", "Na", "Na", "Na", "Na", "Na", "Na", "Na", "Na", "Na", "Na", "Si", "Si", "Si", "Si", "Si", "Si", "Si", "Si", "Si", "Si", "Si", "Si", "Si", "Si", "Si", "Si", "Si", "Si", "Si", "Si", "Si", "Si", "Si", "Si", "Si", "Si", "Si", "Si", "Si", "Si", "Si", "Si", "Si", "Si", "Si", "Si", "Si", "Si", "Si", "Si", "Si", "Si", "Si", "Si", "Si", "Si", "Si", "Si", "O", "O", "O", "O", "O", "O", "O", "O", "O", "O", "O", "O", "O", "O", "O", "O", "O", "O", "O", "O", "O", "O", "O", "O", "O", "O", "O", "O", "O", "O", "O", "O", "O", "O", "O", "O", "O", "O", "O", "O", "O", "O", "O", "O", "O", "O", "O", "O", "O", "O", "O", "O", "O", "O", "O", "O", "O", "O", "O", "O", "O", "O", "O", "O", "O", "O", "O", "O", "O", "O", "O", "O", "O", "O", "O", "O", "O", "O", "O", "O", "O", "O", "O", "O", "O", "O", "O", "O", "O", "O", "O", "O", "O", "O", "O", "O", "O", "O", "O", "O", "O", "O", "O", "O", "O", "O", "O", "O"],
  "frac_coords": [[0.0503, 0.0447, 0.1139], [0.0503, 0.4553, 0.6139], [0.0996, 0.0366, 0.6159], [0.0996, 0.4634, 0.1159], [0.2578, 0.0419, 0.9275], [0.2578, 0.4581, 0.4275], [0.3176, 0.0262, 0.4227], [0.3176, 0.4738, 0.9227], [0.3448, 0.5234, 0.7722], [0.3448, 0.9766, 0.2722], [0.3574, 0.5514, 0.2956], [0.3574, 0.9486, 0.7956], [0.6426, 0.0514, 0.2044], [0.6426, 0.4486, 0.7044], [0.6552, 0.0234, 0.7278], [0.6552, 0.4766, 0.2278], [0.6824, 0.5262, 0.0773], [0.6824, 0.9738, 0.5773], [0.7422, 0.5419, 0.5725], [0.7422, 0.9581, 0.0725], [0.9004, 0.5366, 0.8841], [0.9004, 0.9634, 0.3841], [0.9497, 0.5447, 0.3861], [0.9497, 0.9553, 0.8861], [0.0046, 0.7419, 0.1554], [0.0046, 0.7581, 0.6554], [0.0307, 0.0027, 0.2584], [0.0307, 0.4973, 0.7584], [0.1061, 0.2392, 0.5097], [0.1061, 0.2608, 0.0097], [0.1760, 0.7387, 0.9826], [0.1760, 0.7613, 0.4826], [0.1835, 0.7408, 0.3468], [0.1835, 0.7592, 0.8468], [0.1958, 0.2246, 0.7544], [0.1958, 0.2754, 0.2544], [0.2845, 0.7433, 0.1606], [0.2845, 0.7567, 0.6606], [0.3059, 0.0052, 0.0870], [0.3059, 0.4948, 0.5870], [0.3613, 0.0006, 0.5790], [0.3613, 0.4994, 0.0790], [0.4157, 0.2354, 0.6967], [0.4157, 0.2646, 0.1967], [0.4607, 0.2252, 0.8933], [0.4607, 0.2748, 0.3933], [0.4838, 0.2278, 0.0435], [0.4838, 0.2722, 0.5435], [0.5162, 0.7278, 0.4565], [0.5162, 0.7722, 0.9565], [0.5393, 0.7252, 0.6067], [0.5393, 0.7748, 0.1067], [0.5843, 0.7354, 0.8033], [0.5843, 0.7646, 0.3033], [0.6387, 0.5006, 0.9210], [0.6387, 0.9994, 0.4210], [0.6941, 0.5052, 0.4130], [0.6941, 0.9948, 0.9130], [0.7155, 0.2433, 0.3394], [0.7155, 0.2567, 0.8394], [0.8042, 0.7246, 0.7456], [0.8042, 0.7754, 0.2456], [0.8165, 0.2408, 0.1532], [0.8165, 0.2592, 0.6532], [0.8240, 0.2387, 0.5174], [0.8240, 0.2613, 0.0174], [0.8939, 0.7392, 0.9903], [0.8939, 0.7608, 0.4903], [0.9693, 0.5027, 0.2416], [0.9693, 0.9973, 0.7416], [0.9954, 0.2419, 0.3446], [0.9954, 0.2581, 0.8446], [0.0075, 0.1026, 0.8168], [0.0075, 0.3974, 0.3168], [0.0367, 0.6897, 0.9876], [0.0367, 0.8103, 0.4876], [0.0710, 0.2319, 0.9294], [0.0710, 0.2681, 0.4294], [0.0750, 0.1066, 0.7204], [0.0750, 0.3934, 0.2204], [0.0764, 0.1104, 0.3330], [0.0764, 0.3896, 0.8330], [0.1138, 0.7416, 0.3978], [0.1138, 0.7584, 0.8978], [0.1183, 0.6100, 0.2941], [0.1183, 0.8900, 0.7941], [0.1451, 0.1113, 0.2380], [0.1451, 0.3887, 0.7380], [0.1549, 0.1147, 0.0531], [0.1549, 0.3853, 0.5531], [0.1679, 0.6911, 0.1838], [0.1679, 0.8089, 0.6838], [0.1832, 0.6062, 0.8131], [0.1832, 0.8938, 0.3131], [0.2075, 0.1055, 0.5425], [0.2075, 0.3945, 0.0425], [0.2264, 0.6012, 0.5097], [0.2264, 0.8988, 0.0097], [0.2287, 0.6026, 0.6260], [0.2287, 0.8974, 0.1260], [0.2840, 0.6123, 0.1148], [0.2840, 0.8877, 0.6148], [0.2899, 0.6119, 0.0042], [0.2899, 0.8881, 0.5042], [0.2938, 0.1874, 0.8372], [0.2938, 0.3126, 0.3372], [0.2960, 0.1905, 0.7185], [0.2960, 0.3095, 0.2185], [0.3522, 0.6938, 0.3957], [0.3522, 0.8062, 0.8957], [0.3811, 0.1139, 0.0487], [0.3811, 0.3861, 0.5487], [0.3903, 0.1063, 0.1661], [0.3903, 0.3937, 0.6661], [0.4278, 0.7463, 0.7348], [0.4278, 0.7537, 0.2348], [0.4360, 0.1075, 0.6545], [0.4360, 0.3925, 0.1545], [0.4435, 0.1062, 0.5414], [0.4435, 0.3938, 0.0414], [0.4540, 0.6098, 0.6243], [0.4540, 0.8902, 0.1243], [0.4679, 0.1910, 0.9672], [0.4679, 0.3090, 0.4672], [0.4792, 0.1081, 0.3813], [0.4792, 0.3919, 0.8813], [0.5208, 0.6081, 0.1187], [0.5208, 0.8919, 0.6187], [0.5321, 0.6910, 0.5328], [0.5321, 0.8090, 0.0328], [0.5460, 0.1098, 0.8757], [0.5460, 0.3902, 0.3757], [0.5565, 0.6062, 0.9586], [0.5565, 0.8938, 0.4586], [0.5640, 0.6075, 0.8455], [0.5640, 0.8925, 0.3455], [0.5722, 0.2463, 0.7652], [0.5722, 0.2537, 0.2652], [0.6097, 0.6063, 0.3339], [0.6097, 0.8937, 0.8339], [0.6189, 0.6139, 0.4513], [0.6189, 0.8861, 0.9513], [0.6478, 0.1938, 0.1043], [0.6478, 0.3062, 0.6043], [0.7040, 0.6905, 0.7815], [0.7040, 0.8095, 0.2815], [0.7062, 0.6874, 0.6628], [0.7062, 0.8126, 0.1628], [0.7101, 0.1119, 0.4958], [0.7101, 0.3881, 0.9958], [0.7160, 0.1123, 0.3852], [0.7160, 0.3877, 0.8852], [0.7713, 0.1026, 0.8740], [0.7713, 0.3974, 0.3740], [0.7736, 0.1012, 0.9903], [0.7736, 0.3988, 0.4903], [0.7925, 0.6055, 0.9575], [0.7925, 0.8945, 0.4575], [0.8168, 0.1062, 0.6869], [0.8168, 0.3938, 0.1869], [0.8321, 0.1911, 0.3162], [0.8321, 0.3089, 0.8162], [0.8451, 0.6147, 0.4469], [0.8451, 0.8853, 0.9469], [0.8549, 0.6113, 0.2620], [0.8549, 0.8887, 0.7620], [0.8817, 0.1100, 0.2059], [0.8817, 0.3900, 0.7059], [0.8862, 0.2416, 0.1022], [0.8862, 0.2584, 0.6022], [0.9236, 0.6104, 0.1670], [0.9236, 0.8896, 0.6670], [0.9250, 0.6066, 0.7796], [0.9250, 0.8934, 0.2796], [0.9290, 0.7319, 0.5706], [0.9290, 0.7681, 0.0706], [0.9633, 0.1897, 0.5124], [0.9633, 0.3103, 0.0124], [0.9925, 0.6026, 0.6832], [0.9925, 0.8974, 0.1832]]
}

***

No. 2
{
  "formula": "KPSe3",
  "functional": "PBE",
  "state": "optimized geometry",
  "volume_a3_per_cell": 926.5,
  "rho_g_cm3": 3.3,
  "piezo_max_c_m2": 0.23,
  "lattice_angstrom": [[7.4477, 0.0000, 0.0000], [-3.7239, 6.4499, 0.0000], [0.0000, 0.0000, 19.2868]],
  "species": ["K", "K", "K", "K", "K", "K", "P", "P", "P", "P", "P", "P", "Se", "Se", "Se", "Se", "Se", "Se", "Se", "Se", "Se", "Se", "Se", "Se", "Se", "Se", "Se", "Se", "Se", "Se"],
  "frac_coords": [[0.2661, 0.5515, 0.2459], [0.2855, 0.7339, 0.9126], [0.4485, 0.7145, 0.5792], [0.5515, 0.2661, 0.7541], [0.7145, 0.4485, 0.4208], [0.7339, 0.2855, 0.0874], [0.0624, 0.1332, 0.4460], [0.0709, 0.9376, 0.1127], [0.1332, 0.0624, 0.5540], [0.8668, 0.9291, 0.7794], [0.9291, 0.8668, 0.2206], [0.9376, 0.0709, 0.8873], [0.0008, 0.7299, 0.5590], [0.0755, 0.2528, 0.7227], [0.1773, 0.9245, 0.3894], [0.2025, 0.7455, 0.0864], [0.2528, 0.0755, 0.2773], [0.2545, 0.4570, 0.4198], [0.2701, 0.2709, 0.8923], [0.2709, 0.2701, 0.1077], [0.4570, 0.2545, 0.5802], [0.5430, 0.7975, 0.7531], [0.7291, 0.9992, 0.2257], [0.7299, 0.0008, 0.4410], [0.7455, 0.2025, 0.9136], [0.7472, 0.8227, 0.0561], [0.7975, 0.5430, 0.2469], [0.8227, 0.7472, 0.9439], [0.9245, 0.1773, 0.6106], [0.9992, 0.7291, 0.7743]]
}

***

No. 3
{
  "formula": "Na18Ta4Zn20Si3S33O144",
  "functional": "PBE",
  "state": "optimized geometry",
  "volume_a3_per_cell": 3040.6,
  "rho_g_cm3": 3.2,
  "lattice_angstrom": [[8.8000, 0.0000, 0.0000], [-0.0023, 15.2772, 0.0000], [-0.0845, -0.0908, 22.6167]],
  "species": ["Na", "Na", "Na", "Na", "Na", "Na", "Na", "Na", "Na", "Na", "Na", "Na", "Na", "Na", "Na", "Na", "Na", "Na", "Ta", "Ta", "Ta", "Ta", "Zn", "Zn", "Zn", "Zn", "Zn", "Zn", "Zn", "Zn", "Zn", "Zn", "Zn", "Zn", "Zn", "Zn", "Zn", "Zn", "Zn", "Zn", "Zn", "Zn", "Si", "Si", "Si", "S", "S", "S", "S", "S", "S", "S", "S", "S", "S", "S", "S", "S", "S", "S", "S", "S", "S", "S", "S", "S", "S", "S", "S", "S", "S", "S", "S", "S", "S", "S", "S", "S", "O", "O", "O", "O", "O", "O", "O", "O", "O", "O", "O", "O", "O", "O", "O", "O", "O", "O", "O", "O", "O", "O", "O", "O", "O", "O", "O", "O", "O", "O", "O", "O", "O", "O", "O", "O", "O", "O", "O", "O", "O", "O", "O", "O", "O", "O", "O", "O", "O", "O", "O", "O", "O", "O", "O", "O", "O", "O", "O", "O", "O", "O", "O", "O", "O", "O", "O", "O", "O", "O", "O", "O", "O", "O", "O", "O", "O", "O", "O", "O", "O", "O", "O", "O", "O", "O", "O", "O", "O", "O", "O", "O", "O", "O", "O", "O", "O", "O", "O", "O", "O", "O", "O", "O", "O", "O", "O", "O", "O", "O", "O", "O", "O", "O", "O", "O", "O", "O", "O", "O", "O", "O", "O", "O", "O", "O", "O", "O", "O", "O", "O", "O", "O", "O", "O", "O", "O", "O", "O", "O", "O", "O", "O", "O"],
  "frac_coords": [[0.0000, 0.0000, 0.0000], [0.0000, 0.3187, 0.8343], [0.0024, 0.6571, 0.6566], [0.1829, 0.1727, 0.7502], [0.3142, 0.6722, 0.2574], [0.3187, 0.3085, 0.2494], [0.4879, 0.8277, 0.3327], [0.4898, 0.4971, 0.4954], [0.4974, 0.1553, 0.1622], [0.4977, 0.4879, 0.0005], [0.4987, 0.8265, 0.8253], [0.5124, 0.1561, 0.6637], [0.8079, 0.4742, 0.9230], [0.8142, 0.1742, 0.2550], [0.8195, 0.8082, 0.2532], [0.9882, 0.3279, 0.3310], [0.9892, 0.9972, 0.4955], [0.9926, 0.6467, 0.1650], [0.4958, 0.8210, 0.4794], [0.5037, 0.8230, 0.9791], [0.9927, 0.6588, 0.8132], [0.9951, 0.3211, 0.4791], [0.0003, 0.3257, 0.6812], [0.0014, 0.3152, 0.9871], [0.0016, 0.9960, 0.1495], [0.0045, 0.9971, 0.8481], [0.0085, 0.6538, 0.3262], [0.0108, 0.6551, 0.5129], [0.4928, 0.4896, 0.6468], [0.4931, 0.8284, 0.1819], [0.4955, 0.4961, 0.3527], [0.4974, 0.1640, 0.0161], [0.4967, 0.4908, 0.8497], [0.4982, 0.8256, 0.6813], [0.5040, 0.1581, 0.8183], [0.5062, 0.4875, 0.1482], [0.5078, 0.1554, 0.3258], [0.5110, 0.1547, 0.5136], [0.9907, 0.6509, 0.0182], [0.9965, 0.3262, 0.1760], [0.9963, 0.9969, 0.3532], [0.9979, 0.9908, 0.6469], [0.2914, 0.6510, 0.4149], [0.7034, 0.6537, 0.9181], [0.7906, 0.1507, 0.4150], [0.1418, 0.8044, 0.9183], [0.1450, 0.4709, 0.5848], [0.1446, 0.8468, 0.2480], [0.1481, 0.5119, 0.9167], [0.1505, 0.1769, 0.5839], [0.1522, 0.1378, 0.2489], [0.2039, 0.1571, 0.9156], [0.2039, 0.4896, 0.2471], [0.2051, 0.8247, 0.5846], [0.2944, 0.9892, 0.7496], [0.2966, 0.3247, 0.0835], [0.3502, 0.6780, 0.0832], [0.3511, 0.0106, 0.4179], [0.3532, 0.3044, 0.4173], [0.3526, 0.9717, 0.0826], [0.3540, 0.3445, 0.7493], [0.3552, 0.6386, 0.7499], [0.6460, 0.9706, 0.5852], [0.6469, 0.3454, 0.2498], [0.6488, 0.0128, 0.9179], [0.6486, 0.3031, 0.9163], [0.6487, 0.6777, 0.5845], [0.6501, 0.6376, 0.2481], [0.7033, 0.9893, 0.2478], [0.7056, 0.3250, 0.5848], [0.7938, 0.4887, 0.7501], [0.7948, 0.8243, 0.0849], [0.8491, 0.1732, 0.0843], [0.8499, 0.1380, 0.7487], [0.8506, 0.5106, 0.4180], [0.8517, 0.4725, 0.0820], [0.8525, 0.8463, 0.7505], [0.8533, 0.8044, 0.4170], [0.0634, 0.4281, 0.9168], [0.0714, 0.7574, 0.2503], [0.0717, 0.0916, 0.5842], [0.0724, 0.5574, 0.5797], [0.0762, 0.5619, 0.8628], [0.0786, 0.2276, 0.2440], [0.0791, 0.8914, 0.9089], [0.0804, 0.2278, 0.5319], [0.0801, 0.8881, 0.1942], [0.0808, 0.0973, 0.3007], [0.0829, 0.7627, 0.9703], [0.0848, 0.4291, 0.6383], [0.1047, 0.0773, 0.9119], [0.1054, 0.5688, 0.2528], [0.1070, 0.2373, 0.9211], [0.1070, 0.4151, 0.5312], [0.1072, 0.7478, 0.5776], [0.1092, 0.4086, 0.2408], [0.1153, 0.8976, 0.3020], [0.1180, 0.9073, 0.5852], [0.1199, 0.7475, 0.8631], [0.1228, 0.2269, 0.6391], [0.1244, 0.5649, 0.9694], [0.1272, 0.0870, 0.1940], [0.1794, 0.3166, 0.4264], [0.1810, 0.6488, 0.7592], [0.1838, 0.3323, 0.7448], [0.1852, 0.9744, 0.0834], [0.1855, 0.6719, 0.0741], [0.1892, 0.9902, 0.4109], [0.1936, 0.6416, 0.4730], [0.1971, 0.0044, 0.6965], [0.1985, 0.3368, 0.0308], [0.2024, 0.9757, 0.8035], [0.2082, 0.3127, 0.1391], [0.2105, 0.6790, 0.3525], [0.2911, 0.1680, 0.8594], [0.2983, 0.4741, 0.3006], [0.2993, 0.8123, 0.6377], [0.3007, 0.5058, 0.1944], [0.3022, 0.1447, 0.9677], [0.3097, 0.5001, 0.9071], [0.3121, 0.8330, 0.5310], [0.3136, 0.4767, 0.5857], [0.3136, 0.8320, 0.2437], [0.3146, 0.1696, 0.5750], [0.3160, 0.8122, 0.9230], [0.3194, 0.1513, 0.2558], [0.3610, 0.2526, 0.3616], [0.3701, 0.5858, 0.6960], [0.3739, 0.0635, 0.4709], [0.3794, 0.7291, 0.1375], [0.3817, 0.3968, 0.8032], [0.3884, 0.0712, 0.7552], [0.3928, 0.2446, 0.0784], [0.3927, 0.9130, 0.0290], [0.3937, 0.4047, 0.0874], [0.3944, 0.9113, 0.7438], [0.4017, 0.7445, 0.4281], [0.4119, 0.2609, 0.4696], [0.4120, 0.5720, 0.4114], [0.4168, 0.7283, 0.7445], [0.4176, 0.5985, 0.8033], [0.4181, 0.9312, 0.1357], [0.4187, 0.3849, 0.6959], [0.4189, 0.3917, 0.4113], [0.4189, 0.7293, 0.0301], [0.4195, 0.2537, 0.7539], [0.4216, 0.0440, 0.3638], [0.4225, 0.0578, 0.0746], [0.4275, 0.5932, 0.0829], [0.4308, 0.9206, 0.4272], [0.5706, 0.5920, 0.5856], [0.5721, 0.9206, 0.9274], [0.5734, 0.0568, 0.5798], [0.5725, 0.2563, 0.2523], [0.5768, 0.0444, 0.8635], [0.5772, 0.7283, 0.2436], [0.5788, 0.3921, 0.9111], [0.5802, 0.7263, 0.5307], [0.5806, 0.3855, 0.1960], [0.5805, 0.5983, 0.3006], [0.5859, 0.9285, 0.6385], [0.5868, 0.2636, 0.9700], [0.6002, 0.5693, 0.9072], [0.6003, 0.7456, 0.9250], [0.6053, 0.0681, 0.2531], [0.6080, 0.2482, 0.5779], [0.6085, 0.9075, 0.2424], [0.6077, 0.9144, 0.5314], [0.6165, 0.3971, 0.3034], [0.6191, 0.4081, 0.5855], [0.6197, 0.0646, 0.9708], [0.6199, 0.7302, 0.6377], [0.6209, 0.5873, 0.1935], [0.6234, 0.2501, 0.8624], [0.6796, 0.8166, 0.4260], [0.6816, 0.1642, 0.0787], [0.6834, 0.1477, 0.7549], [0.6833, 0.4823, 0.0860], [0.6834, 0.8320, 0.0309], [0.6883, 0.8285, 0.7457], [0.6887, 0.4904, 0.4110], [0.6935, 0.1419, 0.4733], [0.7013, 0.8131, 0.1382], [0.7024, 0.5082, 0.6976], [0.7090, 0.4799, 0.8053], [0.7105, 0.1781, 0.3525], [0.7979, 0.0031, 0.1945], [0.7986, 0.9732, 0.3009], [0.8008, 0.3131, 0.6378], [0.8109, 0.6377, 0.9730], [0.8123, 0.3334, 0.5310], [0.8125, 0.9948, 0.9119], [0.8132, 0.6697, 0.5756], [0.8151, 0.3317, 0.2446], [0.8147, 0.9759, 0.5863], [0.8176, 0.6514, 0.2544], [0.8185, 0.3169, 0.9212], [0.8196, 0.6731, 0.8591], [0.8618, 0.7525, 0.3613], [0.8739, 0.5635, 0.4710], [0.8775, 0.2239, 0.1400], [0.8795, 0.0844, 0.6953], [0.8812, 0.9062, 0.0839], [0.8818, 0.4229, 0.0261], [0.8837, 0.8959, 0.8048], [0.8893, 0.7466, 0.0770], [0.8981, 0.4143, 0.7441], [0.8989, 0.5724, 0.7576], [0.9014, 0.2443, 0.4282], [0.9117, 0.0718, 0.4120], [0.9120, 0.7610, 0.4693], [0.9138, 0.4292, 0.1349], [0.9152, 0.2152, 0.0317], [0.9193, 0.8916, 0.4109], [0.9210, 0.5439, 0.3638], [0.9212, 0.8805, 0.6968], [0.9224, 0.0850, 0.0880], [0.9215, 0.0996, 0.8025], [0.9258, 0.2263, 0.7436], [0.9264, 0.5603, 0.0810], [0.9305, 0.4207, 0.4271], [0.9311, 0.7541, 0.7580]]
}

***

No. 4
{
  "formula": "CaNi5",
  "functional": "PBE",
  "state": "optimized geometry",
  "volume_a3_per_cell": 82.1,
  "rho_g_cm3": 6.7,
  "lattice_angstrom": [[4.9090, 0.0000, 0.0000], [-2.4545, 4.2513, 0.0000], [0.0000, 0.0000, 3.9332]],
  "species": ["Ca", "Ni", "Ni", "Ni", "Ni", "Ni"],
  "frac_coords": [[0.0000, 0.0000, 0.0000], [0.0000, 0.5000, 0.5000], [0.3333, 0.6667, 0.0000], [0.5000, 0.0000, 0.5000], [0.5000, 0.5000, 0.5000], [0.6667, 0.3333, 0.0000]]
}

***

Number 1: formation enthalpy at 0 K -2990 meV/atom. Number 2: formation enthalpy at 0 K -802 meV/atom. Number 3: formation enthalpy at 0 K -2071 meV/atom. Number 4: formation enthalpy at 0 K -111 meV/atom.